# LiTiFeO4

LiTiFeO4 after structural relaxation (PBE with a Hubbard U, Materials Project).

Calculated volume: 10.5 A^3/atom
MP2020-corrected energy: -7.982 eV per atom
E_tot: -7.27 eV/atom
Formation energy from the elements: -2.544 eV per atom

Cell and atoms, written as CIF:
```
data_LiTiFeO4
_space_group_name_H-M_alt 'I m m 2'
_space_group_IT_number 44
_cell_length_a 3.914
_cell_length_b 4.037
_cell_length_c 9.298
_cell_angle_alpha 90.00
_cell_angle_beta 90.00
_cell_angle_gamma 90.00
loop_
_space_group_symop_operation_xyz
'x,y,z'
'-x,-y,z'
'-x,y,z'
'x,-y,z'
'x+1/2,y+1/2,z+1/2'
'-x+1/2,-y+1/2,z+1/2'
'-x+1/2,y+1/2,z+1/2'
'x+1/2,-y+1/2,z+1/2'
loop_
_atom_site_label
_atom_site_type_symbol
_atom_site_fract_x
_atom_site_fract_y
_atom_site_fract_z
Li1 Li 0.000 0.000 0.000
Ti1 Ti 0.000 0.000 0.559
Fe1 Fe 0.000 0.500 0.798
O1 O 0.000 0.000 0.351
O2 O 0.000 0.000 0.769
O3 O 0.000 0.500 0.026
O4 O 0.000 0.500 0.580
```

# MgZn2Co2O6

MgZn2Co2O6 after structural relaxation (PBE with a Hubbard U, Materials Project).

Calculated volume: 10.7 A^3/atom
MP2020-corrected energy: -6.016 eV per atom
E_tot: -5.34 eV/atom
Formation energy from the elements: -1.651 eV per atom

Cell and atoms, written as CIF:
```
data_MgZn2Co2O6
_space_group_name_H-M_alt 'P -1'
_space_group_IT_number 2
_cell_length_a 5.141
_cell_length_b 5.233
_cell_length_c 5.725
_cell_angle_alpha 65.70
_cell_angle_beta 65.18
_cell_angle_gamma 60.81
loop_
_space_group_symop_operation_xyz
'x,y,z'
'-x,-y,-z'
loop_
_atom_site_label
_atom_site_type_symbol
_atom_site_fract_x
_atom_site_fract_y
_atom_site_fract_z
Mg1 Mg 0.000 0.000 0.000
Zn1 Zn 0.391 0.400 0.812
Co1 Co 0.179 0.189 0.458
O1 O 0.052 0.788 0.738
O2 O 0.212 0.590 0.257
O3 O 0.396 0.070 0.732
```

# Mo8P9BrN12O56

Mo8P9BrN12O56 after structural relaxation (PBE with a Hubbard U, Materials Project).

Calculated volume: 17.4 A^3/atom
MP2020-corrected energy: -6.741 eV per atom
E_tot: -6.00 eV/atom
Formation energy from the elements: -0.761 eV per atom

Cell and atoms, written as CIF:
```
data_Mo8P9BrN12O56
_space_group_name_H-M_alt 'P -4'
_space_group_IT_number 81
_cell_length_a 9.907
_cell_length_b 9.907
_cell_length_c 15.236
_cell_angle_alpha 90.00
_cell_angle_beta 90.00
_cell_angle_gamma 90.00
loop_
_space_group_symop_operation_xyz
'x,y,z'
'y,-x,-z'
'-x,-y,z'
'-y,x,-z'
loop_
_atom_site_label
_atom_site_type_symbol
_atom_site_fract_x
_atom_site_fract_y
_atom_site_fract_z
Mo1 Mo 0.119 0.352 0.196
Mo2 Mo 0.145 0.379 0.839
P1 P 0.142 0.657 0.700
P2 P 0.187 0.650 0.306
P3 P 0.500 0.500 0.500
Br1 Br 0.000 0.000 0.500
N1 N 0.000 0.000 0.251
N2 N 0.062 0.210 0.491
N3 N 0.174 0.678 0.996
N4 N 0.500 0.500 0.223
O1 O 0.000 0.500 0.168
O2 O 0.000 0.500 0.868
O3 O 0.009 0.317 0.721
O4 O 0.040 0.696 0.292
O5 O 0.060 0.233 0.121
O6 O 0.071 0.229 0.876
O7 O 0.134 0.631 0.601
O8 O 0.200 0.496 0.296
O9 O 0.202 0.537 0.750
O10 O 0.213 0.222 0.279
O11 O 0.222 0.693 0.401
O12 O 0.256 0.415 0.924
O13 O 0.268 0.401 0.140
O14 O 0.281 0.716 0.238
O15 O 0.382 0.476 0.564
```

# Ba2MgCo2O6

Ba2MgCo2O6 after structural relaxation (PBE with a Hubbard U, Materials Project).

Calculated volume: 14.8 A^3/atom
MP2020-corrected energy: -6.319 eV per atom
E_tot: -5.65 eV/atom
Formation energy from the elements: -1.834 eV per atom

Cell and atoms, written as CIF:
```
data_Ba2MgCo2O6
_space_group_name_H-M_alt 'C 1 2 1'
_space_group_IT_number 5
_cell_length_a 5.833
_cell_length_b 10.101
_cell_length_c 5.521
_cell_angle_alpha 90.00
_cell_angle_beta 90.15
_cell_angle_gamma 90.00
loop_
_space_group_symop_operation_xyz
'x,y,z'
'-x,y,-z'
'x+1/2,y+1/2,z'
'-x+1/2,y+1/2,-z'
loop_
_atom_site_label
_atom_site_type_symbol
_atom_site_fract_x
_atom_site_fract_y
_atom_site_fract_z
Ba1 Ba 0.000 0.000 0.000
Ba2 Ba 0.000 0.334 0.500
Mg1 Mg 0.000 0.000 0.500
Co1 Co 0.000 0.667 0.234
O1 O 0.000 0.517 0.000
O2 O 0.000 0.819 0.500
O3 O 0.225 0.742 0.001
O4 O 0.228 0.591 0.501
```

# LiFeP4O12

LiFeP4O12 after structural relaxation (PBE with a Hubbard U, Materials Project).

Calculated volume: 12.3 A^3/atom
MP2020-corrected energy: -7.608 eV per atom
E_tot: -7.02 eV/atom
Formation energy from the elements: -2.530 eV per atom

Cell and atoms, written as CIF:
```
data_LiFeP4O12
_space_group_name_H-M_alt 'C 1 2/c 1'
_space_group_IT_number 15
_cell_length_a 11.973
_cell_length_b 8.433
_cell_length_c 9.965
_cell_angle_alpha 90.00
_cell_angle_beta 117.92
_cell_angle_gamma 90.00
loop_
_space_group_symop_operation_xyz
'x,y,z'
'-x,-y,-z'
'-x,y,-z+1/2'
'x,-y,z+1/2'
'x+1/2,y+1/2,z'
'-x+1/2,-y+1/2,-z'
'-x+1/2,y+1/2,-z+1/2'
'x+1/2,-y+1/2,z+1/2'
loop_
_atom_site_label
_atom_site_type_symbol
_atom_site_fract_x
_atom_site_fract_y
_atom_site_fract_z
Li1 Li 0.000 0.033 0.250
Fe1 Fe 0.250 0.250 0.500
P1 P 0.005 0.265 0.972
P2 P 0.190 0.493 0.196
O1 O 0.030 0.122 0.907
O2 O 0.063 0.255 0.430
O3 O 0.071 0.396 0.660
O4 O 0.138 0.356 0.069
O5 O 0.214 0.085 0.331
O6 O 0.232 0.423 0.350
```

# Li9Mn2Co5O16

Li9Mn2Co5O16 after structural relaxation (PBE with a Hubbard U, Materials Project).

Calculated volume: 9.1 A^3/atom
MP2020-corrected energy: -6.497 eV per atom
E_tot: -5.79 eV/atom
Formation energy from the elements: -1.803 eV per atom

Cell and atoms, written as CIF:
```
data_Li9Mn2Co5O16
_space_group_name_H-M_alt 'C 1 m 1'
_space_group_IT_number 8
_cell_length_a 15.277
_cell_length_b 2.892
_cell_length_c 13.131
_cell_angle_alpha 90.00
_cell_angle_beta 93.28
_cell_angle_gamma 90.00
loop_
_space_group_symop_operation_xyz
'x,y,z'
'x,-y,z'
'x+1/2,y+1/2,z'
'x+1/2,-y+1/2,z'
loop_
_atom_site_label
_atom_site_type_symbol
_atom_site_fract_x
_atom_site_fract_y
_atom_site_fract_z
Li1 Li 0.000 0.000 0.000
Li2 Li 0.000 0.500 0.487
Li3 Li 0.122 0.000 0.365
Li4 Li 0.122 0.500 0.875
Li5 Li 0.250 0.000 0.753
Li6 Li 0.255 0.500 0.247
Li7 Li 0.372 0.000 0.129
Li8 Li 0.375 0.500 0.621
Li9 Li 0.436 0.500 0.306
Mn1 Mn 0.186 0.500 0.556
Mn2 Mn 0.316 0.000 0.424
Co1 Co 0.056 0.500 0.196
Co2 Co 0.061 0.000 0.688
Co3 Co 0.184 0.000 0.060
Co4 Co 0.311 0.500 0.938
Co5 Co 0.436 0.000 0.813
O1 O 0.022 0.000 0.840
O2 O 0.035 0.500 0.331
O3 O 0.100 0.500 0.032
O4 O 0.101 0.000 0.528
O5 O 0.144 0.000 0.208
O6 O 0.145 0.500 0.713
O7 O 0.223 0.000 0.909
O8 O 0.230 0.500 0.402
O9 O 0.275 0.000 0.578
O10 O 0.275 0.500 0.088
O11 O 0.341 0.000 0.289
O12 O 0.347 0.500 0.782
O13 O 0.397 0.500 0.463
O14 O 0.399 0.000 0.962
O15 O 0.477 0.000 0.661
O16 O 0.478 0.500 0.155
```

# K3VP2O8

K3VP2O8 after structural relaxation (PBE with a Hubbard U, Materials Project).

Calculated volume: 15.4 A^3/atom
MP2020-corrected energy: -7.023 eV per atom
E_tot: -6.51 eV/atom
Formation energy from the elements: -2.535 eV per atom

Cell and atoms, written as CIF:
```
data_K3VP2O8
_space_group_name_H-M_alt 'P 1 21/c 1'
_space_group_IT_number 14
_cell_length_a 9.730
_cell_length_b 11.290
_cell_length_c 18.420
_cell_angle_alpha 90.00
_cell_angle_beta 121.67
_cell_angle_gamma 90.00
loop_
_space_group_symop_operation_xyz
'x,y,z'
'-x,-y,-z'
'-x,y+1/2,-z+1/2'
'x,-y+1/2,z+1/2'
loop_
_atom_site_label
_atom_site_type_symbol
_atom_site_fract_x
_atom_site_fract_y
_atom_site_fract_z
K1 K 0.017 0.118 0.421
K2 K 0.039 0.598 0.746
K3 K 0.260 0.100 0.999
K4 K 0.290 0.620 0.993
K5 K 0.434 0.577 0.819
K6 K 0.444 0.639 0.260
V1 V 0.039 0.156 0.114
V2 V 0.446 0.131 0.868
P1 P 0.177 0.623 0.600
P2 P 0.210 0.139 0.646
P3 P 0.278 0.164 0.336
P4 P 0.328 0.640 0.408
O1 O 0.040 0.154 0.635
O2 O 0.069 0.518 0.593
O3 O 0.089 0.693 0.513
O4 O 0.161 0.596 0.390
O5 O 0.166 0.123 0.241
O6 O 0.200 0.709 0.670
O7 O 0.214 0.043 0.588
O8 O 0.235 0.210 0.853
O9 O 0.244 0.233 0.124
O10 O 0.275 0.068 0.393
O11 O 0.315 0.742 0.865
O12 O 0.342 0.573 0.620
O13 O 0.344 0.106 0.739
O14 O 0.399 0.543 0.378
O15 O 0.446 0.656 0.507
O16 O 0.454 0.184 0.352
```

# NaLi5Fe2P2C2O14

NaLi5Fe2P2C2O14 after structural relaxation (PBE with a Hubbard U, Materials Project).

Calculated volume: 10.8 A^3/atom
MP2020-corrected energy: -7.185 eV per atom
E_tot: -6.64 eV/atom
Formation energy from the elements: -2.325 eV per atom

Cell and atoms, written as CIF:
```
data_NaLi5Fe2P2C2O14
_space_group_name_H-M_alt 'P 1 21 1'
_space_group_IT_number 4
_cell_length_a 8.536
_cell_length_b 6.541
_cell_length_c 10.094
_cell_angle_alpha 90.00
_cell_angle_beta 94.10
_cell_angle_gamma 90.00
loop_
_space_group_symop_operation_xyz
'x,y,z'
'-x,y+1/2,-z'
loop_
_atom_site_label
_atom_site_type_symbol
_atom_site_fract_x
_atom_site_fract_y
_atom_site_fract_z
Na1 Na 0.243 0.000 0.378
Li1 Li 0.224 0.479 0.373
Li2 Li 0.225 0.472 0.872
Li3 Li 0.228 0.018 0.875
Li4 Li 0.408 0.249 0.629
Li5 Li 0.414 0.255 0.123
Fe1 Fe 0.160 0.747 0.647
Fe2 Fe 0.162 0.744 0.141
P1 P 0.090 0.247 0.609
P2 P 0.091 0.250 0.103
C1 C 0.460 0.756 0.605
C2 C 0.465 0.749 0.106
O1 O 0.069 0.268 0.455
O2 O 0.072 0.254 0.948
O3 O 0.074 0.723 0.336
O4 O 0.076 0.756 0.844
O5 O 0.183 0.434 0.669
O6 O 0.188 0.058 0.149
O7 O 0.196 0.431 0.156
O8 O 0.200 0.063 0.649
O9 O 0.347 0.735 0.511
O10 O 0.357 0.745 0.008
O11 O 0.388 0.246 0.919
O12 O 0.397 0.279 0.428
O13 O 0.423 0.755 0.228
O14 O 0.425 0.751 0.729
```

# CeVO4

CeVO4 after structural relaxation (PBE with a Hubbard U, Materials Project).

Calculated volume: 14.6 A^3/atom
MP2020-corrected energy: -8.950 eV per atom
E_tot: -8.21 eV/atom
Formation energy from the elements: -3.149 eV per atom

Cell and atoms, written as CIF:
```
data_CeVO4
_space_group_name_H-M_alt 'I 41/a m d'
_space_group_IT_number 141
_cell_length_a 7.325
_cell_length_b 7.325
_cell_length_c 6.536
_cell_angle_alpha 90.00
_cell_angle_beta 90.00
_cell_angle_gamma 90.00
loop_
_space_group_symop_operation_xyz
'x,y,z'
'-x,-y,-z'
'-y+1/4,x+3/4,z+1/4'
'y+1/4,-x+3/4,-z+1/4'
'-x+1/2,-y,z+1/2'
'x+1/2,y,-z+1/2'
'y+1/4,-x+1/4,z+3/4'
'-y+1/4,x+1/4,-z+3/4'
'x,-y,-z'
'-x,y,z'
'-y+1/4,-x+1/4,-z+3/4'
'y+1/4,x+1/4,z+3/4'
'-x+1/2,y,-z+1/2'
'x+1/2,-y,z+1/2'
'y+1/4,x+3/4,-z+1/4'
'-y+1/4,-x+3/4,z+1/4'
'x+1/2,y+1/2,z+1/2'
'-x+1/2,-y+1/2,-z+1/2'
'-y+3/4,x+1/4,z+3/4'
'y+3/4,-x+1/4,-z+3/4'
'-x,-y+1/2,z'
'x,y+1/2,-z'
'y+3/4,-x+3/4,z+1/4'
'-y+3/4,x+3/4,-z+1/4'
'x+1/2,-y+1/2,-z+1/2'
'-x+1/2,y+1/2,z+1/2'
'-y+3/4,-x+3/4,-z+1/4'
'y+3/4,x+3/4,z+1/4'
'-x,y+1/2,-z'
'x,-y+1/2,z'
'y+3/4,x+1/4,-z+3/4'
'-y+3/4,-x+1/4,z+3/4'
loop_
_atom_site_label
_atom_site_type_symbol
_atom_site_fract_x
_atom_site_fract_y
_atom_site_fract_z
Ce1 Ce 0.000 0.250 0.375
V1 V 0.000 0.250 0.875
O1 O 0.000 0.068 0.696
```